No. 1
{
  "formula": "Na3TaSi3SnO12",
  "functional": "PBE",
  "state": "optimized geometry",
  "delta_e_f_mev_per_atom": -2865,
  "cell": [[13.051, 0.000, -8.760], [0.000, 9.081, 0.000], [-0.174, 0.000, 9.065]],
  "species": ["Na", "Na", "Na", "Na", "Na", "Na", "Na", "Na", "Na", "Na", "Na", "Na", "Ta", "Ta", "Ta", "Ta", "Si", "Si", "Si", "Si", "Si", "Si", "Si", "Si", "Si", "Si", "Si", "Si", "Sn", "Sn", "Sn", "Sn", "O", "O", "O", "O", "O", "O", "O", "O", "O", "O", "O", "O", "O", "O", "O", "O", "O", "O", "O", "O", "O", "O", "O", "O", "O", "O", "O", "O", "O", "O", "O", "O", "O", "O", "O", "O", "O", "O", "O", "O", "O", "O", "O", "O", "O", "O", "O", "O"],
  "frac_coords": [[0.252, 0.726, 0.994], [0.752, 0.774, 0.494], [0.752, 0.226, 0.994], [0.252, 0.274, 0.494], [0.499, 0.114, 0.745], [0.499, 0.886, 0.245], [0.999, 0.614, 0.745], [0.999, 0.386, 0.245], [0.190, 0.945, 0.287], [0.190, 0.055, 0.787], [0.690, 0.445, 0.287], [0.690, 0.555, 0.787], [0.892, 0.754, 0.932], [0.892, 0.246, 0.432], [0.392, 0.254, 0.932], [0.392, 0.746, 0.432], [0.998, 0.959, 0.754], [0.998, 0.041, 0.254], [0.498, 0.459, 0.754], [0.498, 0.541, 0.254], [0.354, 0.893, 0.756], [0.643, 0.895, 0.744], [0.643, 0.105, 0.244], [0.354, 0.107, 0.256], [0.854, 0.393, 0.756], [0.143, 0.395, 0.744], [0.143, 0.605, 0.244], [0.854, 0.607, 0.256], [0.104, 0.749, 0.564], [0.104, 0.251, 0.064], [0.604, 0.249, 0.564], [0.604, 0.751, 0.064], [0.152, 0.573, 0.741], [0.849, 0.577, 0.760], [0.849, 0.423, 0.260], [0.152, 0.427, 0.241], [0.652, 0.073, 0.741], [0.349, 0.077, 0.760], [0.349, 0.923, 0.260], [0.652, 0.927, 0.241], [0.435, 0.574, 0.581], [0.575, 0.553, 0.937], [0.575, 0.447, 0.437], [0.435, 0.426, 0.081], [0.935, 0.074, 0.581], [0.075, 0.053, 0.937], [0.075, 0.947, 0.437], [0.935, 0.926, 0.081], [0.254, 0.832, 0.748], [0.740, 0.807, 0.759], [0.740, 0.193, 0.259], [0.254, 0.168, 0.248], [0.754, 0.332, 0.748], [0.240, 0.307, 0.759], [0.240, 0.693, 0.259], [0.754, 0.668, 0.248], [0.355, 0.856, 0.578], [0.642, 0.860, 0.917], [0.642, 0.140, 0.417], [0.355, 0.144, 0.078], [0.855, 0.356, 0.578], [0.142, 0.360, 0.917], [0.142, 0.640, 0.417], [0.855, 0.644, 0.078], [0.458, 0.835, 0.941], [0.535, 0.829, 0.561], [0.535, 0.171, 0.061], [0.458, 0.165, 0.441], [0.958, 0.335, 0.941], [0.035, 0.329, 0.561], [0.035, 0.671, 0.061], [0.958, 0.665, 0.441], [0.078, 0.850, 0.743], [0.914, 0.855, 0.758], [0.914, 0.145, 0.258], [0.078, 0.150, 0.243], [0.578, 0.350, 0.743], [0.414, 0.355, 0.758], [0.414, 0.645, 0.258], [0.578, 0.650, 0.243]]
}

No. 2
{
  "formula": "HfBeIr2",
  "functional": "PBE",
  "state": "optimized geometry",
  "delta_e_f_mev_per_atom": -726,
  "crystal_system": "cubic",
  "sg": "No. 225",
  "cell": [[0.000, 3.088, 3.088], [3.088, 0.000, 3.088], [3.088, 3.088, 0.000]],
  "species": ["Hf", "Be", "Ir", "Ir"],
  "frac_coords": [[0.000, 0.000, 0.000], [0.500, 0.500, 0.500], [0.750, 0.750, 0.750], [0.250, 0.250, 0.250]]
}

No. 3
{
  "formula": "Ga8Sb7Se8Cl29",
  "functional": "PBE",
  "state": "optimized geometry",
  "delta_e_f_mev_per_atom": -1218,
  "crystal_system": "triclinic",
  "sg": "No. 2",
  "cell": [[11.142, 0.000, 0.000], [5.303, 15.065, 0.000], [2.049, 2.935, 19.218]],
  "species": ["Ga", "Ga", "Ga", "Ga", "Ga", "Ga", "Ga", "Ga", "Ga", "Ga", "Ga", "Ga", "Ga", "Ga", "Ga", "Ga", "Sb", "Sb", "Sb", "Sb", "Sb", "Sb", "Sb", "Sb", "Sb", "Sb", "Sb", "Sb", "Sb", "Sb", "Se", "Se", "Se", "Se", "Se", "Se", "Se", "Se", "Se", "Se", "Se", "Se", "Se", "Se", "Se", "Se", "Cl", "Cl", "Cl", "Cl", "Cl", "Cl", "Cl", "Cl", "Cl", "Cl", "Cl", "Cl", "Cl", "Cl", "Cl", "Cl", "Cl", "Cl", "Cl", "Cl", "Cl", "Cl", "Cl", "Cl", "Cl", "Cl", "Cl", "Cl", "Cl", "Cl", "Cl", "Cl", "Cl", "Cl", "Cl", "Cl", "Cl", "Cl", "Cl", "Cl", "Cl", "Cl", "Cl", "Cl", "Cl", "Cl", "Cl", "Cl", "Cl", "Cl", "Cl", "Cl", "Cl", "Cl", "Cl", "Cl", "Cl", "Cl"],
  "frac_coords": [[0.791, 0.373, 0.587], [0.209, 0.627, 0.413], [0.961, 0.272, 0.998], [0.039, 0.728, 0.002], [0.637, 0.602, 0.903], [0.363, 0.398, 0.097], [0.569, 0.798, 0.748], [0.431, 0.202, 0.252], [0.417, 0.833, 0.496], [0.583, 0.167, 0.503], [0.776, 0.833, 0.496], [0.224, 0.167, 0.504], [0.684, 0.047, 0.979], [0.316, 0.953, 0.021], [0.873, 0.112, 0.811], [0.127, 0.888, 0.189], [0.220, 0.487, 0.732], [0.780, 0.513, 0.268], [0.269, 0.707, 0.789], [0.731, 0.293, 0.211], [0.127, 0.723, 0.612], [0.873, 0.277, 0.388], [0.940, 0.703, 0.790], [0.060, 0.297, 0.210], [0.151, 0.258, 0.712], [0.849, 0.742, 0.288], [0.286, 0.274, 0.882], [0.714, 0.726, 0.118], [0.499, 0.257, 0.711], [0.501, 0.743, 0.289], [0.156, 0.581, 0.845], [0.844, 0.419, 0.155], [0.060, 0.818, 0.721], [0.940, 0.182, 0.279], [0.345, 0.632, 0.675], [0.655, 0.368, 0.325], [0.979, 0.626, 0.677], [0.021, 0.374, 0.323], [0.085, 0.377, 0.805], [0.915, 0.623, 0.195], [0.358, 0.157, 0.788], [0.642, 0.843, 0.212], [0.300, 0.338, 0.633], [0.700, 0.662, 0.367], [0.430, 0.371, 0.807], [0.570, 0.629, 0.193], [0.598, 0.420, 0.639], [0.402, 0.580, 0.361], [0.859, 0.228, 0.593], [0.141, 0.772, 0.407], [0.779, 0.438, 0.476], [0.221, 0.562, 0.524], [0.921, 0.421, 0.639], [0.079, 0.579, 0.361], [0.972, 0.188, 0.103], [0.028, 0.812, 0.897], [0.079, 0.184, 0.923], [0.921, 0.816, 0.077], [0.762, 0.334, 0.977], [0.238, 0.666, 0.023], [0.062, 0.369, 0.000], [0.938, 0.631, 0.000], [0.627, 0.589, 0.015], [0.373, 0.411, 0.985], [0.829, 0.548, 0.857], [0.171, 0.452, 0.143], [0.505, 0.553, 0.859], [0.495, 0.447, 0.141], [0.573, 0.757, 0.870], [0.427, 0.243, 0.130], [0.704, 0.872, 0.726], [0.296, 0.128, 0.274], [0.631, 0.674, 0.706], [0.369, 0.326, 0.294], [0.371, 0.878, 0.731], [0.629, 0.122, 0.269], [0.243, 0.888, 0.559], [0.757, 0.112, 0.441], [0.471, 0.689, 0.505], [0.529, 0.311, 0.495], [0.414, 0.902, 0.390], [0.586, 0.098, 0.610], [0.570, 0.870, 0.550], [0.430, 0.130, 0.450], [0.876, 0.892, 0.555], [0.124, 0.108, 0.445], [0.857, 0.689, 0.506], [0.143, 0.311, 0.494], [0.748, 0.897, 0.388], [0.252, 0.103, 0.612], [0.700, 0.047, 0.088], [0.300, 0.953, 0.912], [0.651, 0.932, 0.952], [0.349, 0.068, 0.048], [0.565, 0.179, 0.926], [0.435, 0.821, 0.074], [0.884, 0.051, 0.929], [0.116, 0.949, 0.071], [0.068, 0.056, 0.771], [0.932, 0.944, 0.229], [0.737, 0.062, 0.774], [0.263, 0.938, 0.226], [0.812, 0.258, 0.796], [0.188, 0.742, 0.204]]
}

No. 4
{
  "formula": "US2O13",
  "functional": "PBE",
  "state": "optimized geometry",
  "delta_e_f_mev_per_atom": -1359,
  "crystal_system": "orthorhombic",
  "sg": "No. 62",
  "cell": [[-1.904, -5.274, -0.472], [9.080, -3.906, 7.008], [-8.367, 1.953, 11.930]],
  "species": ["U", "U", "U", "U", "S", "S", "S", "S", "S", "S", "S", "S", "O", "O", "O", "O", "O", "O", "O", "O", "O", "O", "O", "O", "O", "O", "O", "O", "O", "O", "O", "O", "O", "O", "O", "O", "O", "O", "O", "O", "O", "O", "O", "O", "O", "O", "O", "O", "O", "O", "O", "O", "O", "O", "O", "O", "O", "O", "O", "O", "O", "O", "O", "O"],
  "frac_coords": [[0.871, 0.750, 0.164], [0.629, 0.750, 0.664], [0.129, 0.250, 0.836], [0.371, 0.250, 0.336], [0.620, 0.441, 0.149], [0.880, 0.059, 0.649], [0.380, 0.941, 0.851], [0.120, 0.559, 0.351], [0.380, 0.559, 0.851], [0.120, 0.941, 0.351], [0.620, 0.059, 0.149], [0.880, 0.441, 0.649], [0.651, 0.559, 0.170], [0.849, 0.941, 0.670], [0.349, 0.059, 0.830], [0.151, 0.441, 0.330], [0.349, 0.441, 0.830], [0.151, 0.059, 0.330], [0.651, 0.941, 0.170], [0.849, 0.559, 0.670], [0.822, 0.394, 0.099], [0.678, 0.106, 0.599], [0.178, 0.894, 0.901], [0.322, 0.606, 0.401], [0.178, 0.606, 0.901], [0.322, 0.894, 0.401], [0.822, 0.106, 0.099], [0.678, 0.394, 0.599], [0.596, 0.381, 0.238], [0.904, 0.119, 0.738], [0.404, 0.881, 0.762], [0.096, 0.619, 0.262], [0.404, 0.619, 0.762], [0.096, 0.881, 0.262], [0.596, 0.119, 0.238], [0.904, 0.381, 0.738], [0.414, 0.424, 0.089], [0.086, 0.076, 0.589], [0.586, 0.924, 0.911], [0.914, 0.576, 0.411], [0.586, 0.576, 0.911], [0.914, 0.924, 0.411], [0.414, 0.076, 0.089], [0.086, 0.424, 0.589], [0.713, 0.750, 0.271], [0.787, 0.750, 0.771], [0.287, 0.250, 0.729], [0.213, 0.250, 0.229], [0.699, 0.750, 0.053], [0.801, 0.750, 0.553], [0.301, 0.250, 0.947], [0.199, 0.250, 0.447], [0.060, 0.654, 0.090], [0.440, 0.846, 0.590], [0.940, 0.154, 0.910], [0.560, 0.346, 0.410], [0.940, 0.346, 0.910], [0.560, 0.154, 0.410], [0.060, 0.846, 0.090], [0.440, 0.654, 0.590], [0.366, 0.750, 0.157], [0.134, 0.750, 0.657], [0.634, 0.250, 0.843], [0.866, 0.250, 0.343]]
}

No. 5
{
  "formula": "Rb2GaCuF6",
  "functional": "PBE",
  "state": "optimized geometry",
  "delta_e_f_mev_per_atom": -2648,
  "crystal_system": "cubic",
  "sg": "No. 225",
  "cell": [[0.000, 4.248, 4.248], [4.248, 0.000, 4.248], [4.248, 4.248, 0.000]],
  "species": ["Rb", "Rb", "Ga", "Cu", "F", "F", "F", "F", "F", "F"],
  "frac_coords": [[0.750, 0.750, 0.750], [0.250, 0.250, 0.250], [0.000, 0.000, 0.000], [0.500, 0.500, 0.500], [0.771, 0.229, 0.229], [0.229, 0.229, 0.771], [0.229, 0.771, 0.771], [0.229, 0.771, 0.229], [0.771, 0.229, 0.771], [0.771, 0.771, 0.229]]
}

No. 6
{
  "formula": "LaNi2P2",
  "functional": "PBE",
  "state": "optimized geometry",
  "delta_e_f_mev_per_atom": -993,
  "crystal_system": "tetragonal",
  "sg": "No. 139",
  "cell": [[3.235, -2.527, 3.788], [-1.136, 0.671, 5.428], [-2.737, -1.341, -4.681]],
  "species": ["La", "Ni", "Ni", "P", "P"],
  "frac_coords": [[0.000, 0.000, 0.000], [0.250, 0.750, 0.500], [0.750, 0.250, 0.500], [0.630, 0.630, 0.000], [0.370, 0.370, 0.000]]
}